Record 1
The following is a GGA-PBE calculation of crystalline As2Pd5 at its relaxed geometry, from the Materials Project database.

a = 7.4711 Å, b = 7.4711 Å, c = 13.6758 Å
α = 90.00°, β = 90.00°, γ = 120.00°
With the nearest neighbours (Å) after each atom.
Fractional coordinates of all 42 atoms:
As 0.0000 0.0000 0.0000  6 Pd 2.46-2.57
As 0.0000 0.0000 0.5000  6 Pd 2.46-2.57
As 0.0000 0.3292 0.2719  8 Pd 2.47-2.71
As 0.0000 0.6708 0.7719  8 Pd 2.47-2.71
As 0.3292 0.0000 0.2719  8 Pd 2.47-2.71
As 0.3292 0.3292 0.7719  8 Pd 2.47-2.71
As 0.3333 0.6667 0.0400  7 Pd 2.53-2.79
As 0.3333 0.6667 0.5400  7 Pd 2.53-2.79
As 0.6667 0.3333 0.0400  7 Pd 2.53-2.79
As 0.6667 0.3333 0.5400  7 Pd 2.53-2.79
As 0.6708 0.0000 0.7719  8 Pd 2.47-2.71
As 0.6708 0.6708 0.2719  8 Pd 2.47-2.71
Pd 0.0000 0.0000 0.2032  4 As 2.63-2.78, 9 Pd 2.83-2.91
Pd 0.0000 0.0000 0.7032  4 As 2.63-2.78, 9 Pd 2.83-2.91
Pd 0.0000 0.2460 0.8684  3 As 2.57-2.58, 4 Pd 2.76-2.87
Pd 0.0000 0.2987 0.0760  4 As 2.46-2.69
Pd 0.0000 0.3844 0.4675  3 As 2.53-2.71, 1 Pd 2.79
Pd 0.0000 0.3851 0.6813  1 As 2.47, 1 Pd 2.76
Pd 0.0000 0.6149 0.1813  1 As 2.47, 1 Pd 2.76
Pd 0.0000 0.6156 0.9675  3 As 2.53-2.71, 1 Pd 2.79
Pd 0.0000 0.7013 0.5760  4 As 2.46-2.69
Pd 0.0000 0.7540 0.3684  3 As 2.57-2.58, 4 Pd 2.76-2.87
Pd 0.2460 0.0000 0.8684  3 As 2.57-2.58, 4 Pd 2.76-2.87
Pd 0.2460 0.2460 0.3684  3 As 2.57-2.58, 4 Pd 2.76-2.87
Pd 0.2987 0.0000 0.0760  4 As 2.46-2.69
Pd 0.2987 0.2987 0.5760  4 As 2.46-2.69
Pd 0.3333 0.6667 0.3357  4 As 2.65-2.79, 6 Pd 2.91-2.94
Pd 0.3333 0.6667 0.8357  4 As 2.65-2.79, 6 Pd 2.91-2.94
Pd 0.3844 0.0000 0.4675  3 As 2.53-2.71, 1 Pd 2.79
Pd 0.3844 0.3844 0.9675  3 As 2.53-2.71, 1 Pd 2.79
Pd 0.3851 0.0000 0.6813  1 As 2.47, 1 Pd 2.76
Pd 0.3851 0.3851 0.1813  1 As 2.47, 1 Pd 2.76
Pd 0.6149 0.0000 0.1813  1 As 2.47, 1 Pd 2.76
Pd 0.6149 0.6149 0.6813  1 As 2.47, 1 Pd 2.76
Pd 0.6156 0.0000 0.9675  3 As 2.53-2.71, 1 Pd 2.79
Pd 0.6156 0.6156 0.4675  3 As 2.53-2.71, 1 Pd 2.79
Pd 0.6667 0.3333 0.3357  4 As 2.65-2.79, 6 Pd 2.91-2.94
Pd 0.6667 0.3333 0.8357  4 As 2.65-2.79, 6 Pd 2.91-2.94
Pd 0.7013 0.0000 0.5760  4 As 2.46-2.69
Pd 0.7013 0.7013 0.0760  4 As 2.46-2.69
Pd 0.7540 0.0000 0.3684  3 As 2.57-2.58, 4 Pd 2.76-2.87
Pd 0.7540 0.7540 0.8684  3 As 2.57-2.58, 4 Pd 2.76-2.87

Values from the calculation:
Its crystal system is hexagonal. Its formation energy is -0.35 eV/atom.

***

Record 2
The following is a GGA-PBE calculation of crystalline As2Pd at its relaxed geometry, from the Materials Project database.

a = 6.0865 Å, b = 6.0865 Å, c = 6.0865 Å
α = 90.00°, β = 90.00°, γ = 90.00°
With the nearest neighbours (Å) after each atom.
Fractional coordinates of all 12 atoms:
As 0.1168 0.1168 0.1168  1 As 2.46, 3 Pd 2.54
As 0.1168 0.3832 0.6168  1 As 2.46, 3 Pd 2.54
As 0.3832 0.6168 0.1168  1 As 2.46, 3 Pd 2.54
As 0.3832 0.8832 0.6168  1 As 2.46, 3 Pd 2.54
As 0.6168 0.1168 0.3832  1 As 2.46, 3 Pd 2.54
As 0.6168 0.3832 0.8832  1 As 2.46, 3 Pd 2.54
As 0.8832 0.6168 0.3832  1 As 2.46, 3 Pd 2.54
As 0.8832 0.8832 0.8832  1 As 2.46, 3 Pd 2.54
Pd 0.0000 0.0000 0.5000  6 As 2.54
Pd 0.0000 0.5000 0.0000  6 As 2.54
Pd 0.5000 0.0000 0.0000  6 As 2.54
Pd 0.5000 0.5000 0.5000  6 As 2.54

Values from the calculation:
Its crystal system is cubic. Its formation energy is -0.32 eV/atom.

***

Record 3
The following is a GGA-PBE calculation of crystalline AsPd5 at its relaxed geometry, from the Materials Project database.

a = 4.8210 Å, b = 4.8210 Å, c = 8.5970 Å
α = 95.04°, β = 95.04°, γ = 108.76°
With the nearest neighbours (Å) after each atom.
Fractional coordinates of all 12 atoms:
As 0.2273 0.2273 0.2127  8 Pd 2.50-2.66
As 0.7727 0.7727 0.7873  8 Pd 2.50-2.66
Pd 0.1841 0.8159 0.0000  2 As 2.52
Pd 0.2032 0.7240 0.3259  2 As 2.55-2.66, 6 Pd 2.77-2.83
Pd 0.2567 0.2567 0.5069  1 As 2.51, 5 Pd 2.75-2.81
Pd 0.2760 0.7968 0.6741  2 As 2.55-2.66, 6 Pd 2.77-2.83
Pd 0.3542 0.3542 0.8520  1 As 2.50
Pd 0.6458 0.6458 0.1480  1 As 2.50
Pd 0.7240 0.2032 0.3259  2 As 2.55-2.66, 6 Pd 2.77-2.83
Pd 0.7433 0.7433 0.4931  1 As 2.51, 5 Pd 2.75-2.81
Pd 0.7968 0.2760 0.6741  2 As 2.55-2.66, 6 Pd 2.77-2.83
Pd 0.8159 0.1841 0.0000  2 As 2.52

Values from the calculation:
Its crystal system is monoclinic. Its formation energy is -0.27 eV/atom.

***

Record 4
The following is a GGA-PBE calculation of crystalline AsPd3 at its relaxed geometry, from the Materials Project database.

a = 7.5705 Å, b = 7.5705 Å, c = 7.5705 Å
α = 96.07°, β = 96.07°, γ = 142.05°
With the nearest neighbours (Å) after each atom.
Fractional coordinates of all 16 atoms:
As 0.0499 0.2248 0.7405  9 Pd 2.49-2.70
As 0.4843 0.3095 0.2595  9 Pd 2.49-2.70
As 0.6905 0.9501 0.1748  9 Pd 2.49-2.70
As 0.7752 0.5157 0.8252  9 Pd 2.49-2.70
Pd 0.0912 0.4019 0.4680  2 As 2.49-2.54, 1 Pd 2.75
Pd 0.1997 0.3657 0.1060  4 As 2.58-2.68, 3 Pd 2.82-2.89
Pd 0.2221 0.6753 0.8938  3 As 2.49-2.70
Pd 0.2597 0.0937 0.8940  4 As 2.58-2.68, 3 Pd 2.82-2.89
Pd 0.3247 0.2185 0.5467  3 As 2.49-2.70
Pd 0.3768 0.9088 0.3107  2 As 2.49-2.54, 1 Pd 2.75
Pd 0.5981 0.0661 0.6893  2 As 2.49-2.54, 1 Pd 2.75
Pd 0.6343 0.7403 0.8340  4 As 2.58-2.68, 3 Pd 2.82-2.89
Pd 0.6718 0.7779 0.4533  3 As 2.49-2.70
Pd 0.7815 0.3282 0.1062  3 As 2.49-2.70
Pd 0.9063 0.8003 0.1660  4 As 2.58-2.68, 3 Pd 2.82-2.89
Pd 0.9339 0.6232 0.5320  2 As 2.49-2.54, 1 Pd 2.75

Values from the calculation:
Its crystal system is tetragonal. Its formation energy is -0.36 eV/atom.

***

Record 5
The following is a GGA-PBE calculation of crystalline PrAsPd at its relaxed geometry, from the Materials Project database.

a = 4.4006 Å, b = 4.4006 Å, c = 7.9170 Å
α = 90.00°, β = 90.00°, γ = 120.00°
With the nearest neighbours (Å) after each atom.
Fractional coordinates of all 6 atoms:
Pr 0.0000 0.0000 0.0000  6 Pd 3.22, 6 As 3.22
Pr 0.0000 0.0000 0.5000  6 As 3.22, 6 Pd 3.22
As 0.3333 0.6667 0.2500  3 Pd 2.54
As 0.6667 0.3333 0.7500  3 Pd 2.54
Pd 0.3333 0.6667 0.7500  3 As 2.54
Pd 0.6667 0.3333 0.2500  3 As 2.54

Values from the calculation:
Its crystal system is hexagonal. Its formation energy is -1.18 eV/atom.

***

Record 6
The following is a GGA-PBE calculation of crystalline PrAsPd at its relaxed geometry, from the Materials Project database.

a = 4.5239 Å, b = 4.5239 Å, c = 7.8576 Å
α = 90.00°, β = 90.00°, γ = 119.55°
With the nearest neighbours (Å) after each atom.
Fractional coordinates of all 6 atoms:
Pr 0.0000 0.0000 0.2432  6 As 3.23-3.34, 6 Pd 3.23-3.25
Pr 0.0000 0.0000 0.7568  6 As 3.23-3.34, 6 Pd 3.23-3.25
As 0.3223 0.6777 0.5000  3 As 2.54-2.78
As 0.6777 0.3223 0.5000  3 As 2.54-2.78
Pd 0.3328 0.6672 0.0000  3 Pd 2.62
Pd 0.6672 0.3328 0.0000  3 Pd 2.62

Values from the calculation:
Its crystal system is orthorhombic. Its formation energy is -0.70 eV/atom.

***

Record 7
The following is a GGA-PBE calculation of crystalline PrAs2Pd2 at its relaxed geometry, from the Materials Project database.

a = 6.0771 Å, b = 6.0771 Å, c = 6.0771 Å
α = 138.21°, β = 138.21°, γ = 60.58°
With the nearest neighbours (Å) after each atom.
Fractional coordinates of all 5 atoms:
Pr 0.0000 0.0000 0.0000  8 As 3.32, 8 Pd 3.40
As 0.3792 0.3792 0.0000  1 As 2.54, 4 Pd 2.56
As 0.6208 0.6208 0.0000  1 As 2.54, 4 Pd 2.56
Pd 0.2500 0.7500 0.5000  4 As 2.56
Pd 0.7500 0.2500 0.5000  4 As 2.56

Values from the calculation:
Its crystal system is tetragonal. Its formation energy is -0.86 eV/atom.

***

Record 8
The following is a GGA-PBE calculation of crystalline Rb2As2Pd at its relaxed geometry, from the Materials Project database.

a = 8.1910 Å, b = 8.1910 Å, c = 6.2992 Å
α = 90.00°, β = 90.00°, γ = 130.55°
With the nearest neighbours (Å) after each atom.
Fractional coordinates of all 10 atoms:
Rb 0.0834 0.9166 0.7500  6 As 3.59-3.86, 4 Rb 3.89-4.01, 4 Pd 3.97
Rb 0.2934 0.7066 0.2500  2 Pd 3.45, 6 As 3.55-3.69
Rb 0.7066 0.2934 0.7500  2 Pd 3.45, 6 As 3.55-3.69
Rb 0.9166 0.0834 0.2500  6 As 3.59-3.86, 4 Rb 3.89-4.01, 4 Pd 3.97
As 0.2164 0.4295 0.7500  1 As 2.43, 2 Pd 2.54
As 0.4295 0.2164 0.2500  1 As 2.43, 2 Pd 2.54
As 0.5705 0.7836 0.7500  1 As 2.43, 2 Pd 2.54
As 0.7836 0.5705 0.2500  1 As 2.43, 2 Pd 2.54
Pd 0.5000 0.5000 0.0000  4 As 2.54
Pd 0.5000 0.5000 0.5000  4 As 2.54

Values from the calculation:
Its crystal system is orthorhombic. Its formation energy is -0.50 eV/atom.

***

Record 9
The following is a GGA-PBE calculation of crystalline AsPdS at its relaxed geometry, from the Materials Project database.

a = 6.0335 Å, b = 6.0335 Å, c = 6.0335 Å
α = 90.00°, β = 90.00°, γ = 90.00°
With the nearest neighbours (Å) after each atom.
Fractional coordinates of all 12 atoms:
As 0.1126 0.1126 0.1126  1 S 2.29, 3 Pd 2.53
As 0.3874 0.8874 0.6126  1 S 2.29, 3 Pd 2.53
As 0.6126 0.3874 0.8874  1 S 2.29, 3 Pd 2.53
As 0.8874 0.6126 0.3874  1 S 2.29, 3 Pd 2.53
Pd 0.9996 0.0004 0.5004  3 As 2.53, 3 S 2.54
Pd 0.0004 0.5004 0.9996  3 As 2.53, 3 S 2.54
Pd 0.5004 0.9996 0.0004  3 As 2.53, 3 S 2.54
Pd 0.4996 0.4996 0.4996  3 As 2.53, 3 S 2.54
S 0.1069 0.3931 0.6069  1 As 2.29, 3 Pd 2.54
S 0.3931 0.6069 0.1069  1 As 2.29, 3 Pd 2.54
S 0.6069 0.1069 0.3931  1 As 2.29, 3 Pd 2.54
S 0.8931 0.8931 0.8931  1 As 2.29, 3 Pd 2.54

Values from the calculation:
Its crystal system is cubic. Its formation energy is -0.52 eV/atom.

***

Record 10
The following is a GGA-PBE calculation of crystalline SbAsPd at its relaxed geometry, from the Materials Project database.

a = 6.3223 Å, b = 6.3223 Å, c = 6.3223 Å
α = 90.00°, β = 90.00°, γ = 90.00°
With the nearest neighbours (Å) after each atom.
Fractional coordinates of all 12 atoms:
Sb 0.1191 0.3809 0.6191  1 As 2.66, 3 Pd 2.69
Sb 0.3809 0.6191 0.1191  1 As 2.66, 3 Pd 2.69
Sb 0.6191 0.1191 0.3809  1 As 2.66, 3 Pd 2.69
Sb 0.8809 0.8809 0.8809  1 As 2.66, 3 Pd 2.69
As 0.1236 0.1236 0.1236  3 Pd 2.57, 1 Sb 2.66
As 0.3764 0.8764 0.6236  3 Pd 2.57, 1 Sb 2.66
As 0.6236 0.3764 0.8764  3 Pd 2.57, 1 Sb 2.66
As 0.8764 0.6236 0.3764  3 Pd 2.57, 1 Sb 2.66
Pd 0.0092 0.9908 0.4908  3 As 2.57, 3 Sb 2.69
Pd 0.4908 0.0092 0.9908  3 As 2.57, 3 Sb 2.69
Pd 0.5092 0.5092 0.5092  3 As 2.57, 3 Sb 2.69
Pd 0.9908 0.4908 0.0092  3 As 2.57, 3 Sb 2.69

Values from the calculation:
Its crystal system is cubic. Its formation energy is -0.33 eV/atom.

***

Record 11
The following is a GGA-PBE calculation of crystalline SmAs2Pd3 at its relaxed geometry, from the Materials Project database.

a = 8.6322 Å, b = 8.6322 Å, c = 10.0522 Å
α = 107.47°, β = 107.47°, γ = 27.63°
With the nearest neighbours (Å) after each atom.
Fractional coordinates of all 18 atoms:
Sm 0.0000 0.0000 0.0000  6 Pd 3.15-3.18, 6 As 3.19
Sm 0.1544 0.1544 0.7005  6 As 3.12-3.25, 7 Pd 3.22-3.43
Sm 0.8456 0.8456 0.2995  6 As 3.12-3.25, 7 Pd 3.22-3.43
As 0.1992 0.1992 0.1313  6 Pd 2.51-2.63
As 0.3639 0.3639 0.5458  7 Pd 2.42-2.69
As 0.4607 0.4607 0.2132  5 Pd 2.49-2.75
As 0.5393 0.5393 0.7868  5 Pd 2.49-2.75
As 0.6361 0.6361 0.4542  7 Pd 2.42-2.69
As 0.8008 0.8008 0.8687  6 Pd 2.51-2.63
Pd 0.0426 0.0426 0.3315  4 As 2.56-2.65
Pd 0.2211 0.2211 0.3903  4 As 2.42-2.69
Pd 0.3200 0.3200 0.0332  4 As 2.49-2.60
Pd 0.3780 0.3780 0.8012  4 As 2.50-2.75, 1 Pd 2.79
Pd 0.5000 0.5000 0.5000  4 As 2.46-2.75
Pd 0.6220 0.6220 0.1988  4 As 2.50-2.75, 1 Pd 2.79
Pd 0.6800 0.6800 0.9668  4 As 2.49-2.60
Pd 0.7789 0.7789 0.6097  4 As 2.42-2.69
Pd 0.9574 0.9574 0.6685  4 As 2.56-2.65

Values from the calculation:
Its crystal system is monoclinic. Its formation energy is -0.81 eV/atom.

***

Record 12
The following is a GGA-PBE calculation of crystalline TbAsPd at its relaxed geometry, from the Materials Project database.

a = 7.0796 Å, b = 4.1773 Å, c = 7.9806 Å
α = 90.00°, β = 90.00°, γ = 90.00°
With the nearest neighbours (Å) after each atom.
Fractional coordinates of all 12 atoms:
Tb 0.0295 0.2500 0.1914  5 As 2.93-3.01, 5 Pd 3.07-3.28
Tb 0.4705 0.7500 0.6914  5 As 2.93-3.01, 5 Pd 3.07-3.28
Tb 0.5295 0.2500 0.3086  5 As 2.93-3.01, 5 Pd 3.07-3.28
Tb 0.9705 0.7500 0.8086  5 As 2.93-3.01, 5 Pd 3.07-3.28
As 0.2503 0.2500 0.8803  4 Pd 2.64-2.83, 3 Tb 2.93-2.94
As 0.2497 0.7500 0.3803  4 Pd 2.64-2.83, 3 Tb 2.93-2.94
As 0.7503 0.2500 0.6197  4 Pd 2.64-2.83, 3 Tb 2.93-2.94
As 0.7497 0.7500 0.1197  4 Pd 2.64-2.83, 3 Tb 2.93-2.94
Pd 0.1449 0.2500 0.5626  4 As 2.64-2.83
Pd 0.3551 0.7500 0.0626  4 As 2.64-2.83
Pd 0.6449 0.2500 0.9374  4 As 2.64-2.83
Pd 0.8551 0.7500 0.4374  4 As 2.64-2.83

Values from the calculation:
Its crystal system is orthorhombic. Its formation energy is -1.20 eV/atom.

***

- Which of these has the highest formation energy?
  AsPd5

***

- Among the records above, which one has the highest formation energy?
  AsPd5

***

- The highest formation energy belongs to which entry?
  AsPd5

***

Repeat the ninth record exactly.
The following is a GGA-PBE calculation of crystalline AsPdS at its relaxed geometry, from the Materials Project database.

a = 6.0335 Å, b = 6.0335 Å, c = 6.0335 Å
α = 90.00°, β = 90.00°, γ = 90.00°
With the nearest neighbours (Å) after each atom.
Fractional coordinates of all 12 atoms:
As 0.1126 0.1126 0.1126  1 S 2.29, 3 Pd 2.53
As 0.3874 0.8874 0.6126  1 S 2.29, 3 Pd 2.53
As 0.6126 0.3874 0.8874  1 S 2.29, 3 Pd 2.53
As 0.8874 0.6126 0.3874  1 S 2.29, 3 Pd 2.53
Pd 0.9996 0.0004 0.5004  3 As 2.53, 3 S 2.54
Pd 0.0004 0.5004 0.9996  3 As 2.53, 3 S 2.54
Pd 0.5004 0.9996 0.0004  3 As 2.53, 3 S 2.54
Pd 0.4996 0.4996 0.4996  3 As 2.53, 3 S 2.54
S 0.1069 0.3931 0.6069  1 As 2.29, 3 Pd 2.54
S 0.3931 0.6069 0.1069  1 As 2.29, 3 Pd 2.54
S 0.6069 0.1069 0.3931  1 As 2.29, 3 Pd 2.54
S 0.8931 0.8931 0.8931  1 As 2.29, 3 Pd 2.54

Values from the calculation:
Its crystal system is cubic. Its formation energy is -0.52 eV/atom.